VASP calculation (PBE-GGA) on a geometry-optimized Rb4LiSe4O14 structure.

Cell: 7.920 7.951 7.973 Å, 64.68 88.49 88.67°
Space group P1 (No. 1)
Symmetry-distinct sites (fractional):
1 Rb 0.000 0.000 0.000 x1
2 Rb 0.179 0.294 0.431 x1
3 Rb 0.475 0.695 0.971 x1
4 Rb 0.659 0.042 0.361 x1
5 Li 0.921 0.697 0.568 x1
6 Se 0.228 0.805 0.457 x1
7 Se 0.472 0.200 0.904 x1
8 Se 0.680 0.422 0.515 x1
9 Se 0.997 0.523 0.951 x1
10 O 0.044 0.929 0.401 x1
11 O 0.106 0.623 0.063 x1
12 O 0.159 0.587 0.596 x1
13 O 0.326 0.129 0.808 x1
14 O 0.326 0.813 0.267 x1
15 O 0.350 0.887 0.572 x1
16 O 0.406 0.290 0.046 x1
17 O 0.545 0.391 0.377 x1
18 O 0.562 0.415 0.718 x1
19 O 0.630 0.049 0.983 x1
20 O 0.753 0.636 0.431 x1
21 O 0.827 0.258 0.591 x1
22 O 0.849 0.676 0.816 x1
23 O 0.906 0.327 0.106 x1

Values from the calculation:
offset from the most stable computed form = 0 meV per atom

=====

VASP calculation (PBE-GGA) on a geometry-optimized Rb4LiSe4O14 structure.

Cell: 14.124 8.349 7.829 Å, 90.00 94.03 90.00°
Space group C2 (No. 5)
Symmetry-distinct sites (fractional):
1 Rb 0.153 0.000 0.410 x4
2 Rb 0.158 0.711 0.855 x4
3 Li 0.000 0.463 0.000 x2
4 Se 0.101 0.143 0.894 x4
5 Se 0.102 0.507 0.367 x4
6 O 0.000 0.230 0.000 x2
7 O 0.000 0.433 0.500 x2
8 O 0.053 0.590 0.182 x4
9 O 0.055 0.036 0.732 x4
10 O 0.152 0.313 0.850 x4
11 O 0.158 0.653 0.482 x4
12 O 0.160 0.030 0.038 x4
13 O 0.181 0.364 0.323 x4

Values from the calculation:
offset from the most stable computed form = 28 meV per atom

=====

VASP calculation (PBE-GGA) on a geometry-optimized RbLi7Si2O8 structure.

Cell: 15.758 6.410 7.829 Å, 90.00 90.52 90.00°
Space group C2/m (No. 12)
Symmetry-distinct sites (fractional):
1 Rb 0.245 0.000 0.470 x4
2 Li 0.000 0.000 0.000 x2
3 Li 0.000 0.500 0.000 x2
4 Li 0.067 0.254 0.631 x8
5 Li 0.068 0.000 0.287 x4
6 Li 0.142 0.500 0.865 x4
7 Li 0.185 0.258 0.130 x8
8 Si 0.071 0.500 0.293 x4
9 Si 0.147 0.000 0.860 x4
10 O 0.033 0.500 0.750 x4
11 O 0.052 0.000 0.764 x4
12 O 0.098 0.283 0.394 x8
13 O 0.116 0.500 0.102 x4
14 O 0.128 0.000 0.068 x4
15 O 0.196 0.217 0.806 x8

=====

Record-wise energy of formation values, in eV per atom: -1.588; -1.560; -2.635
Record-wise total energy values, in eV/atom: -5.043; -5.015; -5.928